[1]
# Ca3V3Ni2O12 PBE+U relaxed
# Electronic total energy, eV per atom: -6.8549
# Energy relative to the elements, eV/atom: -2.5660
data_Ca3V3Ni2O12
_symmetry_space_group_name_H-M 'I a -3 d'
_symmetry_Int_Tables_number 230
_symmetry_space_group_name_Hall '-I 4bd 2c 3'
_cell_length_a 12.548
_cell_length_b 12.548
_cell_length_c 12.548
_cell_angle_alpha 90.00
_cell_angle_beta 90.00
_cell_angle_gamma 90.00
loop_
_atom_site_label
_atom_site_type_symbol
_atom_site_fract_x
_atom_site_fract_y
_atom_site_fract_z
Ca1 Ca 0.000 0.250 0.125
V1 V 0.000 0.250 0.375
Ni1 Ni 0.000 0.000 0.000
O1 O 0.035 0.052 0.655

***

[2]
# Ca2NiWO6 PBE+U relaxed
# Electronic total energy, eV per atom: -6.7418
# Energy relative to the elements, eV/atom: -2.6082
data_Ca2NiWO6
_symmetry_space_group_name_H-M 'P 1 21/c 1'
_symmetry_Int_Tables_number 14
_symmetry_space_group_name_Hall '-P 2ybc'
_cell_length_a 5.454
_cell_length_b 5.645
_cell_length_c 9.468
_cell_angle_alpha 90.00
_cell_angle_beta 124.64
_cell_angle_gamma 90.00
loop_
_atom_site_label
_atom_site_type_symbol
_atom_site_fract_x
_atom_site_fract_y
_atom_site_fract_z
Ca1 Ca 0.232 0.055 0.247
Ni1 Ni 0.000 0.000 0.500
W1 W 0.500 0.000 0.000
O1 O 0.165 0.194 0.955
O2 O 0.256 0.715 0.947
O3 O 0.354 0.032 0.759

***

[3]
# Ca2NiWO6 PBE+U relaxed
# Electronic total energy, eV per atom: -6.6401
# Energy relative to the elements, eV/atom: -2.5065
data_Ca2NiWO6
_symmetry_space_group_name_H-M 'P 1 21/c 1'
_symmetry_Int_Tables_number 14
_symmetry_space_group_name_Hall '-P 2ybc'
_cell_length_a 5.260
_cell_length_b 5.595
_cell_length_c 11.110
_cell_angle_alpha 90.00
_cell_angle_beta 117.96
_cell_angle_gamma 90.00
loop_
_atom_site_label
_atom_site_type_symbol
_atom_site_fract_x
_atom_site_fract_y
_atom_site_fract_z
Ca1 Ca 0.183 0.000 0.182
Ni1 Ni 0.500 0.000 0.500
W1 W 0.000 0.000 0.500
O1 O 0.096 0.134 0.362
O2 O 0.203 0.712 0.499
O3 O 0.371 0.131 0.639

***

[4]
# Ca2NiWO6 PBE+U relaxed
# Electronic total energy, eV per atom: -6.6353
# Energy relative to the elements, eV/atom: -2.5017
data_Ca2NiWO6
_symmetry_space_group_name_H-M 'C 1 2 1'
_symmetry_Int_Tables_number 5
_symmetry_space_group_name_Hall 'C 2y'
_cell_length_a 9.630
_cell_length_b 5.656
_cell_length_c 5.545
_cell_angle_alpha 90.00
_cell_angle_beta 125.10
_cell_angle_gamma 90.00
loop_
_atom_site_label
_atom_site_type_symbol
_atom_site_fract_x
_atom_site_fract_y
_atom_site_fract_z
Ca1 Ca 0.250 0.000 0.247
Ni1 Ni 0.000 0.051 0.500
W1 W 0.000 0.553 0.000
O1 O 0.002 0.807 0.239
O2 O 0.007 0.318 0.253
O3 O 0.244 0.566 0.236

***

electronic total energy of number 1 (Ca3V3Ni2O12)? -6.8549 eV per atom

***

Among the records above, which one has the highest energy relative to the elements? number 4

***

What did the fourth record say?
# Ca2NiWO6 PBE+U relaxed
# Electronic total energy, eV per atom: -6.6353
# Energy relative to the elements, eV/atom: -2.5017
data_Ca2NiWO6
_symmetry_space_group_name_H-M 'C 1 2 1'
_symmetry_Int_Tables_number 5
_symmetry_space_group_name_Hall 'C 2y'
_cell_length_a 9.630
_cell_length_b 5.656
_cell_length_c 5.545
_cell_angle_alpha 90.00
_cell_angle_beta 125.10
_cell_angle_gamma 90.00
loop_
_atom_site_label
_atom_site_type_symbol
_atom_site_fract_x
_atom_site_fract_y
_atom_site_fract_z
Ca1 Ca 0.250 0.000 0.247
Ni1 Ni 0.000 0.051 0.500
W1 W 0.000 0.553 0.000
O1 O 0.002 0.807 0.239
O2 O 0.007 0.318 0.253
O3 O 0.244 0.566 0.236

***

Among the records above, which one has the highest electronic total energy? number 4